# 1
## PtF5 (PBE-GGA)

Data for a relaxed PtF5 crystal.

## Properties
As for the raw total energy: -3.726 eV/atom.

Cell: 10.135 5.691 12.773 Å, 78.72 90.00 90.00°
Fractional coordinates of all 48 atoms:
Pt: 0.751 0.001 0.002
Pt: 0.251 0.999 0.498
Pt: 0.249 0.999 0.998
Pt: 0.749 0.001 0.502
Pt: 0.002 0.701 0.198
Pt: 0.502 0.299 0.302
Pt: 0.998 0.299 0.802
Pt: 0.498 0.701 0.698
F: 0.166 0.903 0.146
F: 0.666 0.097 0.354
F: 0.834 0.097 0.854
F: 0.334 0.903 0.646
F: 0.852 0.516 0.249
F: 0.352 0.484 0.251
F: 0.148 0.484 0.751
F: 0.648 0.516 0.749
F: 0.603 0.189 0.951
F: 0.103 0.811 0.549
F: 0.397 0.811 0.049
F: 0.897 0.189 0.451
F: 0.671 0.908 0.138
F: 0.171 0.092 0.362
F: 0.329 0.092 0.862
F: 0.829 0.908 0.638
F: 0.666 0.268 0.544
F: 0.166 0.732 0.956
F: 0.334 0.732 0.456
F: 0.834 0.268 0.044
F: 0.915 0.800 0.051
F: 0.415 0.200 0.449
F: 0.085 0.200 0.949
F: 0.585 0.800 0.551
F: 0.578 0.564 0.351
F: 0.078 0.436 0.149
F: 0.422 0.436 0.649
F: 0.922 0.564 0.851
F: 0.913 0.392 0.669
F: 0.413 0.608 0.831
F: 0.087 0.608 0.331
F: 0.587 0.392 0.169
F: 0.928 0.976 0.240
F: 0.428 0.024 0.260
F: 0.072 0.024 0.760
F: 0.572 0.976 0.740
F: 0.678 0.729 0.957
F: 0.178 0.271 0.543
F: 0.322 0.271 0.043
F: 0.822 0.729 0.457


# 2
## Rb2PtF6 (PBE-GGA)

Data for a relaxed Rb2PtF6 crystal.

## Properties
As for the raw total energy: -4.301 eV/atom.

Cell: 4.953 6.089 6.089 Å, 120.00 90.00 90.00°
Fractional coordinates of all 9 atoms:
Rb: 0.288 0.333 0.667
Rb: 0.712 0.667 0.333
Pt: 0.000 0.000 0.000
F: 0.217 0.842 0.158
F: 0.217 0.315 0.158
F: 0.217 0.842 0.685
F: 0.783 0.158 0.842
F: 0.783 0.685 0.842
F: 0.783 0.158 0.315


# 3
## TbPtF7 (PBE-GGA)

Data for a relaxed TbPtF7 crystal.

## Properties
As for the raw total energy: -5.239 eV/atom.

Cell: 5.546 8.972 12.038 Å, 62.30 90.00 90.00°
Fractional coordinates of all 36 atoms:
Tb: 0.264 0.815 0.263
Tb: 0.736 0.185 0.737
Tb: 0.764 0.185 0.237
Tb: 0.236 0.815 0.763
Pt: 0.759 0.727 0.041
Pt: 0.241 0.273 0.959
Pt: 0.259 0.273 0.459
Pt: 0.741 0.727 0.541
F: 0.939 0.710 0.412
F: 0.061 0.290 0.588
F: 0.439 0.290 0.088
F: 0.561 0.710 0.912
F: 0.466 0.730 0.132
F: 0.534 0.270 0.868
F: 0.966 0.270 0.368
F: 0.034 0.730 0.632
F: 0.950 0.741 0.175
F: 0.050 0.259 0.825
F: 0.450 0.259 0.325
F: 0.550 0.741 0.675
F: 0.767 0.480 0.138
F: 0.233 0.520 0.862
F: 0.267 0.520 0.362
F: 0.733 0.480 0.638
F: 0.942 0.281 0.043
F: 0.058 0.719 0.957
F: 0.442 0.719 0.457
F: 0.558 0.281 0.543
F: 0.737 0.974 0.447
F: 0.263 0.026 0.553
F: 0.237 0.026 0.053
F: 0.763 0.974 0.947
F: 0.595 0.968 0.232
F: 0.405 0.032 0.768
F: 0.095 0.032 0.268
F: 0.905 0.968 0.732


# 4
## YPtF7 (PBE-GGA)

Data for a relaxed YPtF7 crystal.

## Properties
As for the raw total energy: -5.425 eV/atom.

Cell: 5.542 8.954 12.040 Å, 62.38 90.00 90.00°
Fractional coordinates of all 36 atoms:
Y: 0.264 0.815 0.263
Y: 0.736 0.185 0.737
Y: 0.764 0.185 0.237
Y: 0.236 0.815 0.763
Pt: 0.759 0.727 0.042
Pt: 0.241 0.273 0.958
Pt: 0.259 0.273 0.458
Pt: 0.741 0.727 0.542
F: 0.938 0.710 0.412
F: 0.062 0.290 0.588
F: 0.438 0.290 0.088
F: 0.562 0.710 0.912
F: 0.465 0.730 0.133
F: 0.535 0.270 0.867
F: 0.965 0.270 0.367
F: 0.035 0.730 0.633
F: 0.950 0.741 0.175
F: 0.050 0.259 0.825
F: 0.450 0.259 0.325
F: 0.550 0.741 0.675
F: 0.767 0.479 0.139
F: 0.233 0.521 0.861
F: 0.267 0.521 0.361
F: 0.733 0.479 0.639
F: 0.942 0.281 0.043
F: 0.058 0.719 0.957
F: 0.442 0.719 0.457
F: 0.558 0.281 0.543
F: 0.738 0.974 0.448
F: 0.262 0.026 0.552
F: 0.238 0.026 0.052
F: 0.762 0.974 0.948
F: 0.594 0.968 0.232
F: 0.406 0.032 0.768
F: 0.094 0.032 0.268
F: 0.906 0.968 0.732


# 5
## RbF (PBE-GGA)

Data for a relaxed RbF crystal.

## Properties
As for the raw total energy: -3.990 eV/atom.

Cell: 3.455 3.455 3.455 Å, 90.00 90.00 90.00°
Fractional coordinates of all 2 atoms:
Rb: 0.000 0.000 0.000
F: 0.500 0.500 0.500


# 6
## RbF2 (PBE-GGA)

Data for a relaxed RbF2 crystal.

## Properties
As for the raw total energy: -3.410 eV/atom.

Cell: 5.229 5.229 5.369 Å, 90.00 90.00 90.00°
Fractional coordinates of all 6 atoms:
Rb: 0.000 0.000 0.000
Rb: 0.500 0.500 0.500
F: 0.366 0.366 0.000
F: 0.634 0.634 0.000
F: 0.866 0.134 0.500
F: 0.134 0.866 0.500